(1)
DFT (PBE) results for a relaxed Mg2Si crystal.

Cell: 5.932 5.965 8.009 Å, 72.49 69.25 60.56°
Positions (direct):
Mg (0.264, 0.586, 0.345)
Mg (0.752, 0.084, 0.337)
Mg (0.427, 0.330, 0.707)
Mg (0.461, 0.832, 0.641)
Mg (0.563, 0.833, 0.992)
Mg (0.945, 0.335, 0.672)
Mg (0.241, 0.117, 0.313)
Mg (0.063, 0.790, 0.993)
Si (0.750, 0.603, 0.325)
Si (0.006, 0.300, 0.022)
Si (0.562, 0.348, 0.006)
Si (0.967, 0.841, 0.647)

ΔE_f = 57 meV/atom
theoretical density = 2.2 g cm⁻³
magnetization = 0.00 μB per atom

(2)
DFT (PBE) results for a relaxed CoAsS crystal.

Cell: 5.579 5.586 5.590 Å, 90.00 90.00 90.00°
Positions (direct):
Co (0.501, 0.493, 0.239)
Co (0.001, 0.007, 0.239)
Co (0.501, 0.993, 0.761)
Co (0.001, 0.507, 0.761)
S (0.623, 0.119, 0.129)
S (0.123, 0.381, 0.129)
S (0.623, 0.619, 0.871)
S (0.123, 0.881, 0.871)
As (0.383, 0.379, 0.629)
As (0.383, 0.879, 0.371)
As (0.883, 0.121, 0.629)
As (0.883, 0.621, 0.371)

ΔE_f = -616 meV/atom
theoretical density = 6.3 g cm⁻³
largest piezoelectric modulus = 0.2 C/m²
excess energy over the best structure of this formula in the dataset = 1 meV per atom